DFT (PBE) results for a relaxed structure of Na3ZnSnP3O12.

Results
* uncorrected energy: -6.310 eV/atom

Cell and atoms, written as extended XYZ:
```
120
Lattice="7.786 -4.499 0.000 7.786 4.499 0.000 -0.040 0.000 22.077" Properties=species:S:1:pos:R:3 pbc="T T T"
Na 7.766 4.479 11.039
Na 2.644 1.246 9.139
Na 7.446 1.574 9.144
Na 2.624 -1.246 20.177
Na 7.938 1.711 1.786
Na 5.126 0.040 18.398
Na 5.146 -0.040 7.359
Na 10.514 2.771 5.473
Na 7.808 1.212 16.496
Na 7.828 -1.212 5.457
Na 10.462 0.222 14.718
Na 7.426 -1.574 20.183
Na 10.482 -0.222 3.679
Na 7.918 -1.711 12.824
Na 13.023 1.212 1.778
Na 13.003 -1.212 12.816
Na 10.494 -2.771 16.512
Na 7.786 -4.479 0.000
Zn 7.752 4.467 14.213
Zn 5.092 0.078 21.576
Zn 5.112 -0.078 10.538
Zn 10.392 0.005 17.897
Zn 10.412 -0.005 6.859
Zn 7.772 -4.467 3.174
Sn 5.122 0.067 3.891
Sn 5.102 -0.067 14.930
Sn 10.357 0.044 11.247
Sn 10.377 -0.044 0.208
Sn 15.473 0.017 7.569
Sn 15.453 -0.017 18.608
P 10.050 -3.183 5.371
P 5.411 3.143 16.296
P 2.825 1.356 12.659
P 5.135 2.664 1.657
P 10.030 3.183 16.409
P 7.699 1.827 5.320
P 2.845 -1.356 1.620
P 7.459 1.311 12.668
P 10.306 2.681 8.945
P 8.013 1.347 20.032
P 5.115 -2.664 12.696
P 7.479 -1.311 1.630
P 8.033 -1.347 8.994
P 12.635 1.308 20.088
P 7.679 -1.827 16.359
P 5.431 -3.143 5.257
P 12.655 -1.308 9.049
P 10.286 -2.681 19.984
O 1.404 0.821 12.806
O 6.359 3.588 1.783
O 1.676 0.651 6.694
O 6.368 3.339 17.533
O 4.890 1.852 2.977
O 3.720 1.125 13.944
O 3.489 0.849 11.394
O 5.070 1.667 9.142
O 3.677 0.864 20.160
O 5.352 1.769 0.466
O 5.315 1.550 16.286
O 3.644 0.554 5.282
O 7.608 2.818 12.826
O 1.656 -0.651 17.733
O 8.968 3.550 8.961
O 1.424 -0.821 1.767
O 7.517 2.674 6.637
O 7.949 2.923 19.986
O 9.124 3.466 15.233
O 7.855 2.694 4.083
O 3.624 -0.554 16.320
O 6.624 1.030 11.427
O 6.431 0.889 5.300
O 3.509 -0.849 0.355
O 3.697 -0.864 9.122
O 6.640 0.711 20.194
O 3.740 -1.125 2.905
O 6.817 0.620 13.951
O 8.932 1.147 21.319
O 10.022 1.741 10.175
O 10.423 1.890 7.657
O 10.204 1.678 16.554
O 8.934 0.911 5.422
O 8.675 0.761 18.791
O 10.550 1.549 1.615
O 8.856 0.575 12.618
O 6.660 -0.711 9.155
O 6.837 -0.620 2.912
O 5.050 -1.667 20.181
O 6.411 -0.889 16.339
O 5.335 -1.550 5.248
O 4.870 -1.852 14.016
O 5.332 -1.769 11.504
O 6.644 -1.030 0.388
O 8.876 -0.575 1.579
O 11.720 1.019 18.930
O 8.695 -0.761 7.753
O 11.622 0.916 12.631
O 11.810 0.804 5.447
O 8.914 -0.911 16.461
O 12.062 0.736 21.444
O 8.952 -1.147 10.280
O 7.497 -2.674 17.675
O 6.388 -3.339 6.494
O 13.840 0.847 3.975
O 7.628 -2.818 1.787
O 7.835 -2.694 15.122
O 6.339 -3.588 12.822
O 14.068 0.657 20.000
O 7.969 -2.923 8.947
O 10.002 -1.741 21.213
O 10.224 -1.678 5.515
O 11.790 -0.804 16.486
O 10.530 -1.549 12.653
O 11.642 -0.916 1.592
O 12.082 -0.736 10.406
O 11.740 -1.019 7.891
O 10.403 -1.890 18.695
O 8.948 -3.550 20.000
O 9.144 -3.466 4.195
O 14.088 -0.657 8.961
O 13.820 -0.847 15.014
```